Entry 1:
This record from the Materials Project database describes a relaxed Na4ZnSi3Sn3S3O24 crystal. The functional is PBE-GGA.

abc: 8.980 8.949 22.744
angles: 90.21 90.30 120.10
Fractional positions:
1 Na 0.632 0.004 0.240
2 Na 0.378 0.357 0.252
3 Na 0.986 0.639 0.245
4 Na 0.993 0.356 0.757
5 Na 0.382 0.018 0.760
6 Na 0.703 0.678 0.401
7 Na 0.009 0.028 0.487
8 Na 0.004 0.016 0.000
9 Na 0.658 0.326 0.837
10 Na 0.642 0.311 0.327
11 Na 0.354 0.688 0.163
12 Na 0.359 0.662 0.672
13 Zn 0.003 0.004 0.351
14 Zn 0.657 0.323 0.691
15 Zn 0.641 0.310 0.183
16 Si 0.285 0.997 0.252
17 Si 0.706 0.700 0.253
18 Si 0.298 0.299 0.749
19 Si 0.705 0.993 0.750
20 Si 0.671 0.034 0.087
21 Si 0.043 0.385 0.918
22 Si 0.328 0.962 0.915
23 Si 0.635 0.966 0.418
24 Si 0.324 0.367 0.417
25 Sn 0.014 0.026 0.856
26 Sn 0.991 0.007 0.651
27 Sn 0.989 0.988 0.149
28 Sn 0.669 0.311 0.980
29 Sn 0.655 0.325 0.479
30 Sn 0.334 0.680 0.018
31 Sn 0.342 0.664 0.514
32 Sn 0.350 0.680 0.315
33 Sn 0.342 0.668 0.819
34 S 0.004 0.296 0.252
35 S 0.999 0.712 0.749
36 S 0.964 0.340 0.584
37 S 0.360 0.027 0.585
38 S 0.673 0.629 0.585
39 S 0.956 0.623 0.083
40 S 0.371 0.335 0.083
41 S 0.632 0.665 0.919
42 S 0.041 0.663 0.420
43 O 0.202 0.043 0.306
44 O 0.815 0.776 0.313
45 O 0.969 0.189 0.303
46 O 0.212 0.163 0.803
47 O 0.974 0.791 0.801
48 O 0.834 0.026 0.805
49 O 0.771 0.944 0.689
50 O 0.170 0.221 0.689
51 O 0.033 0.822 0.694
52 O 0.786 0.838 0.198
53 O 0.043 0.225 0.197
54 O 0.168 0.957 0.190
55 O 0.886 0.355 0.638
56 O 0.463 0.104 0.638
57 O 0.657 0.524 0.635
58 O 0.879 0.533 0.138
59 O 0.645 0.112 0.147
60 O 0.467 0.361 0.138
61 O 0.461 0.317 0.030
62 O 0.849 0.538 0.030
63 O 0.699 0.148 0.028
64 O 0.441 0.135 0.531
65 O 0.690 0.553 0.528
66 O 0.857 0.320 0.530
67 O 0.553 0.698 0.970
68 O 0.173 0.474 0.973
69 O 0.307 0.850 0.973
70 O 0.543 0.849 0.477
71 O 0.291 0.447 0.478
72 O 0.145 0.684 0.474
73 O 0.116 0.632 0.366
74 O 0.515 0.892 0.358
75 O 0.367 0.496 0.360
76 O 0.124 0.483 0.855
77 O 0.365 0.884 0.854
78 O 0.526 0.630 0.864
79 O 0.020 0.813 0.417
80 O 0.814 0.969 0.414
81 O 0.171 0.176 0.413
82 O 0.012 0.188 0.916
83 O 0.145 0.962 0.910
84 O 0.803 0.819 0.911
85 O 0.982 0.180 0.583
86 O 0.184 0.007 0.588
87 O 0.832 0.806 0.586
88 O 0.984 0.803 0.083
89 O 0.849 0.018 0.088
90 O 0.198 0.175 0.085
91 O 0.699 0.171 0.745
92 O 0.485 0.317 0.742
93 O 0.852 0.537 0.741
94 O 0.686 0.511 0.241
95 O 0.857 0.325 0.243
96 O 0.482 0.155 0.246
97 O 0.647 0.510 0.926
98 O 0.857 0.378 0.921
99 O 0.493 0.160 0.920
100 O 0.655 0.159 0.424
101 O 0.520 0.385 0.424
102 O 0.866 0.504 0.425
103 O 0.349 0.489 0.076
104 O 0.129 0.635 0.079
105 O 0.498 0.838 0.079
106 O 0.340 0.850 0.577
107 O 0.516 0.649 0.582
108 O 0.139 0.498 0.579
109 O 0.287 0.810 0.256
110 O 0.508 0.677 0.253
111 O 0.164 0.471 0.258
112 O 0.299 0.482 0.756
113 O 0.159 0.699 0.752
114 O 0.507 0.831 0.756

Properties
total energy = -6.1731 eV per atom
spin magnetization = 0.0000 μB/atom

Entry 2:
This record from the Materials Project database describes a relaxed Na2Zn2Si3Sn6S9O48 crystal. The functional is PBE-GGA.

abc: 17.559 8.791 22.965
angles: 90.01 89.71 120.09
Fractional positions:
1 Na 0.002 0.992 0.495
2 Na 0.500 0.009 0.999
3 Na 0.329 0.325 0.837
4 Na 0.834 0.333 0.837
5 Na 0.327 0.325 0.333
6 Na 0.831 0.336 0.335
7 Zn 0.009 0.985 0.353
8 Zn 0.500 0.014 0.856
9 Zn 0.006 0.013 0.651
10 Zn 0.504 0.997 0.153
11 Zn 0.835 0.333 0.985
12 Zn 0.332 0.332 0.480
13 Si 0.147 0.002 0.252
14 Si 0.645 0.995 0.248
15 Si 0.145 0.295 0.748
16 Si 0.689 0.039 0.582
17 Si 0.188 0.337 0.081
18 Si 0.520 0.372 0.918
19 Si 0.166 0.948 0.916
20 Si 0.664 0.380 0.416
21 Si 0.019 0.669 0.418
22 Sn 0.509 0.013 0.353
23 Sn 0.010 0.006 0.855
24 Sn 0.504 0.002 0.645
25 Sn 0.010 0.007 0.148
26 Sn 0.326 0.328 0.684
27 Sn 0.833 0.328 0.681
28 Sn 0.326 0.330 0.185
29 Sn 0.829 0.326 0.186
30 Sn 0.328 0.318 0.978
31 Sn 0.827 0.337 0.477
32 Sn 0.165 0.668 0.022
33 Sn 0.664 0.659 0.021
34 Sn 0.165 0.669 0.517
35 Sn 0.666 0.668 0.519
36 Sn 0.159 0.668 0.312
37 Sn 0.668 0.668 0.312
38 Sn 0.167 0.665 0.813
39 Sn 0.662 0.663 0.816
40 S 0.355 0.711 0.252
41 S 0.856 0.712 0.248
42 S 0.999 0.288 0.251
43 S 0.498 0.292 0.248
44 S 0.647 0.294 0.751
45 S 0.997 0.703 0.748
46 S 0.500 0.710 0.751
47 S 0.357 0.002 0.749
48 S 0.853 0.997 0.752
49 S 0.476 0.332 0.584
50 S 0.981 0.332 0.582
51 S 0.187 0.039 0.581
52 S 0.332 0.626 0.582
53 S 0.836 0.633 0.584
54 S 0.478 0.626 0.083
55 S 0.975 0.621 0.083
56 S 0.338 0.041 0.084
57 S 0.834 0.038 0.082
58 S 0.687 0.333 0.081
59 S 0.315 0.669 0.917
60 S 0.814 0.668 0.916
61 S 0.016 0.372 0.917
62 S 0.669 0.962 0.917
63 S 0.315 0.960 0.416
64 S 0.815 0.959 0.416
65 S 0.168 0.378 0.416
66 S 0.517 0.662 0.417
67 O 0.109 0.051 0.308
68 O 0.608 0.038 0.308
69 O 0.409 0.791 0.306
70 O 0.907 0.786 0.301
71 O 0.478 0.181 0.302
72 O 0.981 0.181 0.303
73 O 0.108 0.177 0.808
74 O 0.608 0.183 0.802
75 O 0.485 0.789 0.803
76 O 0.976 0.773 0.802
77 O 0.411 0.031 0.800
78 O 0.906 0.025 0.805
79 O 0.397 0.972 0.694
80 O 0.889 0.967 0.699
81 O 0.088 0.214 0.691
82 O 0.594 0.219 0.697
83 O 0.009 0.805 0.696
84 O 0.514 0.815 0.697
85 O 0.390 0.815 0.199
86 O 0.894 0.818 0.194
87 O 0.010 0.211 0.196
88 O 0.511 0.213 0.196
89 O 0.088 0.956 0.192
90 O 0.589 0.963 0.191
91 O 0.437 0.364 0.639
92 O 0.945 0.371 0.637
93 O 0.242 0.114 0.635
94 O 0.746 0.116 0.643
95 O 0.316 0.520 0.636
96 O 0.819 0.521 0.638
97 O 0.441 0.514 0.136
98 O 0.936 0.508 0.137
99 O 0.321 0.121 0.136
100 O 0.815 0.114 0.135
101 O 0.249 0.383 0.139
102 O 0.743 0.367 0.135
103 O 0.232 0.300 0.025
104 O 0.729 0.308 0.029
105 O 0.425 0.541 0.030
106 O 0.923 0.541 0.031
107 O 0.354 0.151 0.031
108 O 0.849 0.146 0.030
109 O 0.230 0.152 0.530
110 O 0.734 0.168 0.527
111 O 0.349 0.547 0.531
112 O 0.853 0.553 0.532
113 O 0.422 0.302 0.533
114 O 0.925 0.308 0.531
115 O 0.274 0.698 0.969
116 O 0.776 0.703 0.969
117 O 0.073 0.448 0.969
118 O 0.584 0.461 0.974
119 O 0.150 0.830 0.975
120 O 0.655 0.851 0.970
121 O 0.278 0.852 0.471
122 O 0.775 0.852 0.470
123 O 0.156 0.460 0.472
124 O 0.649 0.465 0.476
125 O 0.081 0.710 0.477
126 O 0.572 0.699 0.470
127 O 0.060 0.618 0.362
128 O 0.558 0.633 0.364
129 O 0.258 0.878 0.364
130 O 0.758 0.882 0.364
131 O 0.186 0.493 0.364
132 O 0.684 0.503 0.358
133 O 0.056 0.480 0.863
134 O 0.559 0.494 0.858
135 O 0.184 0.867 0.857
136 O 0.687 0.886 0.863
137 O 0.260 0.635 0.863
138 O 0.758 0.635 0.862
139 O 0.007 0.837 0.416
140 O 0.507 0.819 0.410
141 O 0.401 0.972 0.408
142 O 0.902 0.979 0.410
143 O 0.087 0.209 0.413
144 O 0.575 0.190 0.412
145 O 0.006 0.194 0.909
146 O 0.512 0.182 0.913
147 O 0.075 0.957 0.912
148 O 0.588 0.968 0.910
149 O 0.402 0.825 0.910
150 O 0.900 0.830 0.906
151 O 0.483 0.172 0.593
152 O 0.986 0.172 0.588
153 O 0.099 0.017 0.588
154 O 0.592 0.023 0.591
155 O 0.410 0.803 0.591
156 O 0.914 0.807 0.592
157 O 0.486 0.799 0.088
158 O 0.980 0.793 0.091
159 O 0.415 0.020 0.091
160 O 0.910 0.015 0.092
161 O 0.089 0.166 0.088
162 O 0.599 0.181 0.087
163 O 0.350 0.164 0.741
164 O 0.844 0.161 0.748
165 O 0.246 0.316 0.745
166 O 0.738 0.315 0.744
167 O 0.423 0.530 0.743
168 O 0.915 0.518 0.743
169 O 0.350 0.536 0.247
170 O 0.848 0.533 0.241
171 O 0.420 0.318 0.243
172 O 0.921 0.317 0.243
173 O 0.248 0.177 0.247
174 O 0.745 0.175 0.245
175 O 0.322 0.509 0.922
176 O 0.822 0.511 0.922
177 O 0.427 0.369 0.924
178 O 0.929 0.356 0.923
179 O 0.252 0.143 0.918
180 O 0.748 0.137 0.923
181 O 0.323 0.135 0.423
182 O 0.821 0.133 0.423
183 O 0.248 0.363 0.423
184 O 0.751 0.360 0.419
185 O 0.430 0.502 0.424
186 O 0.926 0.483 0.425
187 O 0.178 0.510 0.073
188 O 0.684 0.501 0.077
189 O 0.063 0.639 0.079
190 O 0.568 0.645 0.078
191 O 0.256 0.869 0.077
192 O 0.752 0.860 0.075
193 O 0.184 0.865 0.577
194 O 0.676 0.844 0.574
195 O 0.252 0.644 0.575
196 O 0.755 0.642 0.578
197 O 0.070 0.492 0.577
198 O 0.564 0.489 0.580
199 O 0.161 0.832 0.255
200 O 0.658 0.826 0.259
201 O 0.265 0.683 0.261
202 O 0.766 0.688 0.253
203 O 0.081 0.462 0.255
204 O 0.578 0.465 0.257
205 O 0.158 0.491 0.759
206 O 0.658 0.473 0.756
207 O 0.075 0.684 0.757
208 O 0.582 0.697 0.755
209 O 0.269 0.846 0.753
210 O 0.762 0.839 0.760

Properties
total energy = -6.1410 eV per atom
spin magnetization = 0.0000 μB/atom

Entry 3:
This record from the Materials Project database describes a relaxed Na8Zn3Si3SnS3O24 crystal. The functional is PBE-GGA.

abc: 9.147 9.160 22.243
angles: 89.53 89.67 119.56
Fractional positions:
1 Na 0.630 0.997 0.257
2 Na 0.370 0.369 0.245
3 Na 0.002 0.625 0.251
4 Na 0.645 0.644 0.735
5 Na 0.982 0.349 0.750
6 Na 0.386 0.014 0.741
7 Na 0.309 0.333 0.583
8 Na 0.040 0.714 0.575
9 Na 0.654 0.947 0.584
10 Na 0.285 0.958 0.077
11 Na 0.664 0.690 0.085
12 Na 0.052 0.347 0.082
13 Na 0.985 0.678 0.920
14 Na 0.707 0.039 0.908
15 Na 0.312 0.285 0.923
16 Na 0.968 0.302 0.413
17 Na 0.325 0.012 0.422
18 Na 0.710 0.686 0.425
19 Na 0.992 0.982 0.501
20 Na 0.018 0.009 0.001
21 Na 0.668 0.316 0.830
22 Na 0.676 0.333 0.336
23 Na 0.322 0.655 0.161
24 Na 0.351 0.682 0.657
25 Zn 0.989 0.985 0.354
26 Zn 0.003 0.017 0.851
27 Zn 0.978 0.976 0.645
28 Zn 0.014 0.999 0.145
29 Zn 0.654 0.318 0.675
30 Zn 0.666 0.348 0.171
31 Zn 0.303 0.652 0.018
32 Zn 0.350 0.699 0.516
33 Zn 0.332 0.687 0.337
34 Si 0.707 0.001 0.751
35 Si 0.362 0.034 0.587
36 Si 0.661 0.624 0.585
37 Si 0.962 0.630 0.086
38 Si 0.368 0.338 0.085
39 Si 0.037 0.369 0.918
40 Si 0.333 0.967 0.920
41 Si 0.638 0.969 0.416
42 Si 0.035 0.662 0.417
43 Sn 0.666 0.333 0.984
44 Sn 0.664 0.332 0.484
45 Sn 0.335 0.679 0.819
46 S 0.297 0.001 0.250
47 S 0.703 0.704 0.250
48 S 0.000 0.291 0.249
49 S 0.298 0.302 0.752
50 S 0.003 0.705 0.752
51 S 0.965 0.334 0.585
52 S 0.669 0.038 0.086
53 S 0.626 0.664 0.918
54 S 0.334 0.372 0.415
55 O 0.216 0.025 0.304
56 O 0.805 0.786 0.304
57 O 0.984 0.190 0.304
58 O 0.219 0.199 0.807
59 O 0.985 0.784 0.807
60 O 0.812 0.022 0.812
61 O 0.787 0.961 0.692
62 O 0.197 0.228 0.698
63 O 0.032 0.809 0.698
64 O 0.783 0.808 0.195
65 O 0.016 0.206 0.194
66 O 0.196 0.982 0.195
67 O 0.886 0.361 0.639
68 O 0.482 0.110 0.645
69 O 0.643 0.515 0.646
70 O 0.885 0.508 0.145
71 O 0.639 0.118 0.139
72 O 0.475 0.361 0.146
73 O 0.455 0.295 0.025
74 O 0.841 0.543 0.025
75 O 0.700 0.145 0.029
76 O 0.450 0.156 0.525
77 O 0.699 0.539 0.525
78 O 0.856 0.304 0.530
79 O 0.547 0.689 0.971
80 O 0.156 0.448 0.975
81 O 0.309 0.852 0.978
82 O 0.559 0.846 0.473
83 O 0.308 0.448 0.469
84 O 0.151 0.687 0.475
85 O 0.101 0.613 0.355
86 O 0.525 0.899 0.354
87 O 0.361 0.477 0.360
88 O 0.120 0.492 0.856
89 O 0.381 0.893 0.858
90 O 0.521 0.635 0.862
91 O 0.019 0.834 0.412
92 O 0.832 0.006 0.410
93 O 0.187 0.201 0.409
94 O 0.007 0.179 0.914
95 O 0.163 0.982 0.911
96 O 0.797 0.808 0.910
97 O 0.979 0.180 0.588
98 O 0.180 0.031 0.590
99 O 0.830 0.811 0.583
100 O 0.966 0.812 0.087
101 O 0.823 0.025 0.090
102 O 0.179 0.170 0.086
103 O 0.683 0.169 0.747
104 O 0.471 0.327 0.749
105 O 0.855 0.534 0.748
106 O 0.689 0.534 0.248
107 O 0.843 0.306 0.248
108 O 0.470 0.152 0.246
109 O 0.638 0.505 0.919
110 O 0.849 0.362 0.921
111 O 0.508 0.158 0.921
112 O 0.644 0.156 0.422
113 O 0.492 0.357 0.418
114 O 0.840 0.492 0.421
115 O 0.365 0.515 0.078
116 O 0.152 0.658 0.083
117 O 0.520 0.871 0.079
118 O 0.338 0.846 0.582
119 O 0.486 0.631 0.580
120 O 0.132 0.484 0.577
121 O 0.312 0.845 0.253
122 O 0.530 0.684 0.254
123 O 0.153 0.461 0.250
124 O 0.310 0.475 0.757
125 O 0.161 0.686 0.754
126 O 0.511 0.819 0.754

Properties
total energy = -5.8021 eV per atom
spin magnetization = 0.0000 μB/atom

Number 1: DFT formation energy -8206 kJ/mol of formula units. Number 2: DFT formation energy -13761 kJ/mol of formula units. Number 3: DFT formation energy -9105 kJ/mol of formula units.